1.
A relaxed structure of SrEuDySbO6, computed with PBE-GGA.

## Properties
Total magnetic moment = 0.70 μB per atom
Total DFT energy (no corrections) = -7.6549 eV per atom
Space group = F-43m, No. 216
Energy of formation from the pure elements = -3.03 eV/atom
E (MP2020) = -8.07 eV per atom

a b c (Å): 5.9339 5.9339 5.9339
angles (deg): 60.00 60.00 60.00
Atoms (fractional coordinates):
Sr 0.0000 0.0000 0.0000
Eu 0.5000 0.5000 0.5000
Dy 0.7500 0.7500 0.7500
Sb 0.2500 0.2500 0.2500
O 0.0126 0.0126 0.4874
O 0.0126 0.4874 0.0126
O 0.0126 0.4874 0.4874
O 0.4874 0.0126 0.0126
O 0.4874 0.0126 0.4874
O 0.4874 0.4874 0.0126

***

2.
A relaxed structure of Gd3GeO8, computed with PBE-GGA.

## Properties
Total magnetic moment = 1.50 μB per atom
Total DFT energy (no corrections) = -9.5890 eV per atom
Space group = P2_1/m, No. 11
Energy of formation from the pure elements = -2.84 eV/atom
E (MP2020) = -10.05 eV per atom

a b c (Å): 5.4568 10.4830 6.1452
angles (deg): 90.00 105.13 90.00
Atoms (fractional coordinates):
Gd 0.1846 0.0485 0.2958
Gd 0.1846 0.4515 0.2958
Gd 0.2866 0.2500 0.8226
Gd 0.7134 0.7500 0.1774
Gd 0.8154 0.5485 0.7042
Gd 0.8154 0.9515 0.7042
Ge 0.3061 0.7500 0.5051
Ge 0.6939 0.2500 0.4949
O 0.0394 0.6327 0.4562
O 0.0394 0.8673 0.4562
O 0.0968 0.2500 0.1249
O 0.1976 0.0208 0.9324
O 0.1976 0.4792 0.9324
O 0.4775 0.7500 0.8000
O 0.4849 0.6260 0.3849
O 0.4849 0.8740 0.3849
O 0.5151 0.1260 0.6151
O 0.5151 0.3740 0.6151
O 0.5225 0.2500 0.2000
O 0.8024 0.5208 0.0676
O 0.8024 0.9792 0.0676
O 0.9032 0.7500 0.8751
O 0.9606 0.1327 0.5438
O 0.9606 0.3673 0.5438

***

3.
A relaxed structure of In5AgSe8, computed with PBE-GGA.

## Properties
Total DFT energy (no corrections) = -3.6753 eV per atom
Distance to the lowest polymorph of the same formula = 0 kJ/mol of formula units
Space group = C2, No. 5
Energy of formation from the pure elements = -0.76 eV/atom
E (MP2020) = -3.94 eV per atom

a b c (Å): 7.2599 7.2599 8.5103
angles (deg): 90.28 90.28 108.67
Atoms (fractional coordinates):
In 0.0000 0.0000 0.0000
In 0.0015 0.5226 0.7543
In 0.4773 0.5227 0.5000
In 0.4774 0.9985 0.2457
In 0.9895 0.0105 0.5000
Ag 0.4881 0.5119 0.0000
Se 0.3272 0.6228 0.2504
Se 0.3758 0.1322 0.5182
Se 0.3771 0.1255 0.9843
Se 0.3772 0.6728 0.7496
Se 0.8411 0.1308 0.7518
Se 0.8678 0.6242 0.4818
Se 0.8692 0.1589 0.2482
Se 0.8745 0.6229 0.0157

***

4.
A relaxed structure of H2S, computed with PBE-GGA.

## Properties
Total DFT energy (no corrections) = -3.7894 eV per atom
Distance to the lowest polymorph of the same formula = 0 kJ/mol of formula units
Space group = Pbcm, No. 57
Energy of formation from the pure elements = -0.32 eV/atom
E (MP2020) = -3.96 eV per atom

a b c (Å): 4.1343 13.5494 6.7956
angles (deg): 90.00 90.00 90.00
Atoms (fractional coordinates):
H 0.1739 0.1203 0.1041
H 0.1739 0.1203 0.3959
H 0.1739 0.3797 0.6041
H 0.1739 0.3797 0.8959
H 0.3083 0.5723 0.7500
H 0.3083 0.9277 0.2500
H 0.3262 0.7194 0.7500
H 0.3262 0.7806 0.2500
H 0.6738 0.2194 0.7500
H 0.6738 0.2806 0.2500
H 0.6917 0.0723 0.7500
H 0.6917 0.4277 0.2500
H 0.8261 0.6203 0.1041
H 0.8261 0.6203 0.3959
H 0.8261 0.8797 0.6041
H 0.8261 0.8797 0.8959
S 0.0386 0.5994 0.2500
S 0.0386 0.9006 0.7500
S 0.4588 0.1438 0.7500
S 0.4588 0.3562 0.2500
S 0.5412 0.6438 0.7500
S 0.5412 0.8562 0.2500
S 0.9614 0.0994 0.2500
S 0.9614 0.4006 0.7500

***

5.
A relaxed structure of K3NdAs2S8, computed with PBE-GGA.

## Properties
Total magnetic moment = 0.00 μB per atom
Total DFT energy (no corrections) = -4.5182 eV per atom
Space group = C2/c, No. 15
Energy of formation from the pure elements = -1.20 eV/atom
E (MP2020) = -4.81 eV per atom

a b c (Å): 11.0435 11.0435 9.1015
angles (deg): 102.90 102.90 122.49
Atoms (fractional coordinates):
K 0.0000 0.0000 0.0000
K 0.0000 0.0000 0.5000
K 0.2418 0.7582 0.7500
K 0.4965 0.5035 0.7500
K 0.5035 0.4965 0.2500
K 0.7582 0.2418 0.2500
Nd 0.2573 0.7427 0.2500
Nd 0.7427 0.2573 0.7500
As 0.1574 0.4058 0.8957
As 0.4058 0.1574 0.3957
As 0.5942 0.8426 0.6043
As 0.8426 0.5942 0.1043
S 0.0054 0.3612 0.6553
S 0.0300 0.3739 0.0563
S 0.2322 0.2606 0.8708
S 0.2606 0.2322 0.3708
S 0.3442 0.6325 0.4811
S 0.3612 0.0054 0.1553
S 0.3675 0.6558 0.0189
S 0.3739 0.0300 0.5563
S 0.6261 0.9700 0.4437
S 0.6325 0.3442 0.9811
S 0.6388 0.9946 0.8447
S 0.6558 0.3675 0.5189
S 0.7394 0.7678 0.6292
S 0.7678 0.7394 0.1292
S 0.9700 0.6261 0.9437
S 0.9946 0.6388 0.3447

***

6.
A relaxed structure of BaGaSi, computed with PBE-GGA.

## Properties
Total DFT energy (no corrections) = -3.9096 eV per atom
Space group = P-6m2, No. 187
Energy of formation from the pure elements = -0.43 eV/atom
E (MP2020) = -3.89 eV per atom

a b c (Å): 4.2721 4.2721 5.1325
angles (deg): 90.00 90.00 120.00
Atoms (fractional coordinates):
Ba 0.0000 0.0000 0.0000
Ga 0.3333 0.6667 0.5000
Si 0.6667 0.3333 0.5000

***

7.
A relaxed structure of Nb9AsO25, computed with PBE-GGA.

## Properties
Total DFT energy (no corrections) = -8.6803 eV per atom
Space group = P4/n, No. 85
Energy of formation from the pure elements = -2.91 eV/atom
E (MP2020) = -9.17 eV per atom

a b c (Å): 15.9685 15.9685 3.8921
angles (deg): 90.00 90.00 90.00
Atoms (fractional coordinates):
Nb 0.0312 0.3570 0.2493
Nb 0.0770 0.8658 0.7432
Nb 0.1342 0.5770 0.2568
Nb 0.1430 0.0312 0.2493
Nb 0.2500 0.2500 0.2884
Nb 0.3570 0.4688 0.2493
Nb 0.3658 0.9230 0.2568
Nb 0.4230 0.6342 0.7432
Nb 0.4688 0.1430 0.2493
Nb 0.5312 0.8570 0.7507
Nb 0.5770 0.3658 0.2568
Nb 0.6342 0.0770 0.7432
Nb 0.6430 0.5312 0.7507
Nb 0.7500 0.7500 0.7116
Nb 0.8570 0.9688 0.7507
Nb 0.8658 0.4230 0.7432
Nb 0.9230 0.1342 0.2568
Nb 0.9688 0.6430 0.7507
As 0.2500 0.7500 0.0000
As 0.7500 0.2500 0.0000
O 0.0012 0.6378 0.2501
O 0.0314 0.7616 0.7503
O 0.0326 0.0748 0.2464
O 0.0748 0.4674 0.2464
O 0.0926 0.8967 0.2530
O 0.1033 0.5926 0.7470
O 0.1334 0.3006 0.2528
O 0.1378 0.9988 0.7499
O 0.1751 0.6991 0.2378
O 0.1994 0.1334 0.2528
O 0.1991 0.8249 0.7622
O 0.2384 0.5314 0.2497
O 0.2500 0.2500 0.7584
O 0.2616 0.9686 0.2497
O 0.3006 0.3666 0.2528
O 0.3009 0.6751 0.7622
O 0.3249 0.8009 0.2378
O 0.3622 0.5012 0.7499
O 0.3666 0.1994 0.2528
O 0.3967 0.9074 0.7470
O 0.4074 0.6033 0.2530
O 0.4252 0.0326 0.2464
O 0.4674 0.4252 0.2464
O 0.4686 0.7384 0.7503
O 0.4988 0.8622 0.2501
O 0.5012 0.1378 0.7499
O 0.5314 0.2616 0.2497
O 0.5326 0.5748 0.7536
O 0.5748 0.9674 0.7536
O 0.5926 0.3967 0.7470
O 0.6033 0.0926 0.2530
O 0.6334 0.8006 0.7472
O 0.6378 0.4988 0.2501
O 0.6751 0.1991 0.7622
O 0.6991 0.3249 0.2378
O 0.6994 0.6334 0.7472
O 0.7384 0.0314 0.7503
O 0.7500 0.7500 0.2416
O 0.7616 0.4686 0.7503
O 0.8009 0.1751 0.2378
O 0.8006 0.8666 0.7472
O 0.8249 0.3009 0.7622
O 0.8622 0.0012 0.2501
O 0.8666 0.6994 0.7472
O 0.8967 0.4074 0.2530
O 0.9074 0.1033 0.7470
O 0.9252 0.5326 0.7536
O 0.9674 0.9252 0.7536
O 0.9686 0.2384 0.2497
O 0.9988 0.3622 0.7499

***

8.
A relaxed structure of K3DyAs2S8, computed with PBE-GGA.

## Properties
Total magnetic moment = 0.00 μB per atom
Total DFT energy (no corrections) = -4.4964 eV per atom
Space group = C2/c, No. 15
Energy of formation from the pure elements = -1.19 eV/atom
E (MP2020) = -4.78 eV per atom

a b c (Å): 10.8567 10.8567 9.0219
angles (deg): 103.06 103.06 121.64
Atoms (fractional coordinates):
K 0.0000 0.0000 0.0000
K 0.0000 0.0000 0.5000
K 0.2384 0.7616 0.7500
K 0.4955 0.5045 0.7500
K 0.5045 0.4955 0.2500
K 0.7616 0.2384 0.2500
Dy 0.2566 0.7434 0.2500
Dy 0.7434 0.2566 0.7500
As 0.1569 0.4026 0.8995
As 0.4026 0.1569 0.3995
As 0.5974 0.8431 0.6005
As 0.8431 0.5974 0.1005
S 0.0007 0.6469 0.3441
S 0.0284 0.3755 0.0610
S 0.2368 0.2577 0.8741
S 0.2577 0.2368 0.3741
S 0.3442 0.6352 0.4759
S 0.3531 0.9993 0.1559
S 0.3648 0.6558 0.0241
S 0.3755 0.0284 0.5610
S 0.6245 0.9716 0.4390
S 0.6352 0.3442 0.9759
S 0.6469 0.0007 0.8441
S 0.6558 0.3648 0.5241
S 0.7423 0.7632 0.6259
S 0.7632 0.7423 0.1259
S 0.9716 0.6245 0.9390
S 0.9993 0.3531 0.6559

***

What did the first record say?
A relaxed structure of SrEuDySbO6, computed with PBE-GGA.

## Properties
Total magnetic moment = 0.70 μB per atom
Total DFT energy (no corrections) = -7.6549 eV per atom
Space group = F-43m, No. 216
Energy of formation from the pure elements = -3.03 eV/atom
E (MP2020) = -8.07 eV per atom

a b c (Å): 5.9339 5.9339 5.9339
angles (deg): 60.00 60.00 60.00
Atoms (fractional coordinates):
Sr 0.0000 0.0000 0.0000
Eu 0.5000 0.5000 0.5000
Dy 0.7500 0.7500 0.7500
Sb 0.2500 0.2500 0.2500
O 0.0126 0.0126 0.4874
O 0.0126 0.4874 0.0126
O 0.0126 0.4874 0.4874
O 0.4874 0.0126 0.0126
O 0.4874 0.0126 0.4874
O 0.4874 0.4874 0.0126

***

Which value of E (MP2020) does entry 6 give? -3.89 eV per atom

***

What is the formula in the eighth record? K3DyAs2S8